--- a ---
Material: LiCuPO4
Method: DFT, PBE-GGA
State: optimized geometry

Geometry as extended XYZ:
```
28
Lattice="9.4926 0.0000 0.0000 0.0000 6.1517 0.0000 0.0000 0.0000 5.0486" Properties=species:S:1:pos:R:3 pbc="T T T"
Li 0.0000 0.0000 0.0000
Li 0.0000 3.0758 0.0000
Li 4.7463 0.0000 2.5243
Li 4.7463 3.0758 2.5243
Cu 1.4759 1.5379 2.2769
Cu 3.2704 4.6138 4.8012
Cu 6.2222 1.5379 0.2474
Cu 8.0167 4.6138 2.7718
P 1.8039 4.6138 2.2681
P 2.9424 1.5379 4.7924
P 6.5502 4.6138 0.2562
P 7.6887 1.5379 2.7805
O 1.0919 3.3657 1.6706
O 1.0919 5.8618 1.6706
O 1.4298 1.5379 4.4019
O 1.5845 4.6138 3.8104
O 3.1618 1.5379 1.2861
O 3.3165 4.6138 1.8776
O 3.6544 0.2899 4.1950
O 3.6544 2.7860 4.1950
O 5.8382 3.3657 0.8537
O 5.8382 5.8618 0.8537
O 6.1761 1.5379 3.1710
O 6.3308 4.6138 3.7626
O 7.9081 1.5379 1.2382
O 8.0628 4.6138 0.6467
O 8.4007 0.2899 3.3780
O 8.4007 2.7860 3.3780
```

***

--- b ---
Material: LiCuPO4
Method: DFT, PBE-GGA
State: optimized geometry

Geometry as extended XYZ:
```
168
Lattice="9.9532 0.0000 0.0000 -4.9766 8.6197 0.0000 0.0000 0.0000 22.8129" Properties=species:S:1:pos:R:3 pbc="T T T"
Li -2.2172 4.1744 0.0717
Li -4.4416 8.1087 19.0108
Li 0.1750 0.7188 11.4065
Li -1.9323 4.3981 15.2554
Li -2.1351 4.7742 7.5815
Li 0.7100 0.2078 15.2086
Li 1.9095 4.3836 22.7901
Li -0.2016 8.0941 0.0468
Li -0.2528 8.4526 7.6760
Li 2.5065 4.0073 3.8739
Li 2.1339 4.7472 7.6511
Li 0.2255 8.0816 15.1858
Li 4.7510 0.5381 3.7793
Li 2.8427 3.8725 19.0575
Li 2.4700 4.6123 15.2803
Li 5.2294 0.1671 19.0825
Li 5.1781 0.5256 11.4532
Li 3.0671 4.2361 11.3836
Li 4.2666 8.4119 3.8022
Li 7.1116 3.8455 18.9879
Li 6.9089 4.2216 3.8489
Li 4.8016 7.9009 0.0000
Li 9.4182 0.5110 7.6043
Li 7.1938 4.4453 11.4782
Cu -0.4221 2.5955 2.0920
Cu -2.7033 7.1743 2.2661
Cu 0.1151 2.6915 17.4747
Cu -2.0960 6.7541 18.1180
Cu -2.5177 7.6875 9.6963
Cu 0.1754 3.4274 10.5137
Cu 2.0367 1.6633 5.8942
Cu 2.3884 1.2460 21.2769
Cu -0.0151 5.6230 20.4707
Cu -0.0993 5.8213 5.2621
Cu 0.1145 5.7951 12.8664
Cu 3.0559 1.5618 14.3159
Cu 1.9207 7.0579 2.9094
Cu 4.8621 2.8246 1.4599
Cu 5.0759 2.7984 16.6685
Cu 4.9917 2.9967 9.0642
Cu 2.5881 7.3737 9.8704
Cu 2.9399 6.9563 17.3006
Cu 4.8012 5.1923 21.9202
Cu 7.4943 0.9322 21.1028
Cu 7.0726 1.8656 6.7116
Cu 4.8615 5.9282 6.0683
Cu 7.6798 1.4454 13.6726
Cu 5.3987 6.0242 13.4985
P -0.5658 2.9154 5.1933
P -2.6035 6.7142 21.0632
P -0.1496 2.7898 20.4575
P -2.4857 7.3543 5.2489
P 0.4637 3.0079 13.4589
P -2.1689 7.6520 12.7976
P -0.0830 5.5142 2.0566
P 2.3413 1.5244 1.4468
P -0.1596 5.9344 9.6609
P 2.2419 1.9477 8.9954
P 2.8367 1.1024 17.2611
P 0.2426 5.7907 17.2652
P 4.7340 2.8290 5.8587
P 2.1398 7.5173 5.8546
P 2.7347 6.6720 20.4019
P 5.1362 2.6853 21.0673
P 2.6353 7.0953 12.8532
P 5.0595 3.1055 13.4630
P 7.1455 0.9677 1.3911
P 4.5129 5.6118 2.0525
P 7.4623 1.2654 16.6554
P 5.1261 5.8299 9.0511
P 7.5801 1.9055 9.6568
P 5.5424 5.7043 16.5997
O -0.9651 1.7289 6.1201
O -3.4044 6.1493 4.9281
O -3.2534 5.9305 22.2281
O -0.6429 1.5091 21.1749
O -1.2829 2.7364 3.8366
O -0.3314 1.6844 13.1816
O -2.6780 5.8003 19.7996
O -2.8778 6.2896 12.5493
O -0.9017 3.0665 19.1111
O -3.3521 8.0645 20.7859
O -1.0801 4.2300 5.8484
O -3.3482 8.4219 5.9663
O -1.6190 5.4650 2.2112
O 0.9854 1.3113 2.1642
O -0.4667 3.9841 21.4126
O -0.5330 4.1370 13.8156
O 1.2930 1.1292 16.9838
O -2.9967 8.5911 13.7244
O 1.0147 1.7003 9.9222
O -1.4784 6.1578 8.8902
O -1.1394 5.6177 16.6117
O -0.5567 5.2772 11.0638
O -1.8700 7.8674 3.9025
O 0.9686 2.9827 4.9450
O -1.2929 7.0318 6.2039
O 0.3830 4.2605 1.2859
O 1.3533 2.5968 20.1367
O -1.9654 8.3625 11.4409
O -1.1273 7.0128 21.4199
O 2.9255 0.1264 1.1260
O 1.4673 2.8369 14.6238
O 1.7283 2.4792 7.6387
O 1.2924 3.4003 12.1953
O 3.1905 0.1478 18.4260
O 3.0673 0.6525 8.7472
O 0.6812 4.8241 9.0074
O -0.7733 7.4401 13.4527
O 2.2048 2.3142 0.1003
O -0.1280 6.4632 18.6682
O 1.0533 4.4850 17.4199
O 0.6847 5.4990 3.4595
O 3.5909 0.5809 15.9975
O 0.4582 6.7976 1.4031
O 3.2170 2.3962 2.4018
O 3.3162 2.5301 17.6178
O 0.5658 7.2893 9.8156
O 3.1232 3.0503 9.6506
O 3.8812 1.7986 5.0881
O 1.0954 6.8211 16.4945
O 1.8534 5.5693 21.0571
O 4.4108 1.3304 21.2220
O 1.6604 6.0896 6.2113
O 1.7596 6.2235 13.8083
O 4.5184 1.8221 12.8096
O 1.3857 8.0388 4.5910
O 4.2918 3.1207 14.8660
O 3.9233 4.1346 6.0134
O 5.1046 2.1565 7.2617
O 2.7718 6.3055 11.5068
O 5.7499 1.1796 2.0463
O 4.2953 3.7956 20.4139
O 1.9092 7.9672 20.1537
O 1.7861 8.4719 7.0195
O 3.6842 5.2194 0.7888
O 3.2483 6.1405 19.0452
O 3.5093 5.7828 3.2174
O 2.0511 8.4933 12.5324
O 6.1039 1.6068 10.0134
O 6.9420 0.2572 0.0344
O 3.6232 6.0229 8.7303
O 4.5936 4.3592 12.6924
O 6.2695 1.5879 17.6104
O 4.0080 5.6370 16.3515
O 6.8466 0.7523 15.3089
O 5.5333 3.3425 22.4703
O 6.1160 3.0020 5.2053
O 6.4549 2.4619 20.2967
O 3.9619 6.9194 21.3287
O 7.9733 0.0286 2.3179
O 3.6835 7.4904 5.5773
O 5.5096 4.4827 2.4091
O 5.4433 4.6356 10.0061
O 3.9911 7.3084 13.5706
O 6.5956 3.1547 13.6177
O 8.3248 0.1978 17.3728
O 6.0566 4.3897 17.2549
O 8.3287 0.5552 9.3794
O 5.8783 5.5532 7.7046
O 7.8544 2.3301 1.1429
O 7.6546 2.8194 8.3931
O 5.3080 6.9353 1.7751
O 6.2595 5.8833 15.2430
O 5.6195 7.1106 9.7685
O 8.2300 2.6891 10.8217
O 8.3810 2.4704 16.3346
O 5.9417 6.8908 17.5265
```

***

--- c ---
Material: LiCuPO4
Method: DFT, PBE-GGA
State: optimized geometry

Geometry as extended XYZ:
```
42
Lattice="3.8298 -6.3736 0.0000 3.8298 6.3736 0.0000 -0.4895 0.0000 9.4603" Properties=species:S:1:pos:R:3 pbc="T T T"
Li 3.5851 6.0421 4.7302
Li 2.2043 1.6554 4.8167
Li 2.9189 1.2867 0.0710
Li 2.4490 -1.6554 0.0866
Li 2.6742 -1.2867 4.8012
Li 3.8298 -6.0421 0.0000
Cu 3.4351 3.7028 2.6242
Cu 3.7304 3.6422 7.5691
Cu 4.6376 0.3212 7.4960
Cu 4.8824 -0.3212 2.7659
Cu 3.1903 -3.7028 7.3543
Cu 3.9751 -3.6422 2.8390
P 1.4018 0.0096 7.1406
P 1.6465 -0.0096 2.4104
P 5.5284 2.0737 0.8085
P 5.4277 2.1730 4.5913
P 5.2836 -2.0737 5.5386
P 5.1829 -2.1730 9.3214
O 0.1800 0.7848 7.6933
O 2.9011 4.5891 6.0108
O 1.5939 1.4725 2.9369
O 2.3169 3.1018 8.8040
O 0.4247 -0.7848 2.9631
O 1.4596 0.0112 5.6068
O 1.7043 -0.0112 0.8767
O 1.3492 -1.4725 7.6671
O 3.9779 2.4906 4.1341
O 2.6990 0.6257 7.7311
O 5.0769 3.4811 1.2315
O 2.9437 -0.6257 3.0010
O 4.5371 0.9844 1.3004
O 5.0375 2.0326 8.6706
O 5.4745 2.1654 6.1564
O 2.5616 -3.1018 4.0738
O 4.2924 -0.9844 6.0305
O 5.9058 0.7891 4.0769
O 3.7332 -2.4906 8.8642
O 3.1458 -4.5891 1.2807
O 5.6611 -0.7891 8.8070
O 5.2822 -2.0326 3.9404
O 5.7192 -2.1654 1.4262
O 4.8321 -3.4811 5.9616
```

***

--- d ---
Material: LiCuPO4
Method: DFT, PBE-GGA
State: optimized geometry

Geometry as extended XYZ:
```
14
Lattice="4.9298 0.0000 0.0000 0.0000 4.9221 0.0000 -4.8779 0.0000 7.0429" Properties=species:S:1:pos:R:3 pbc="T T T"
Li 0.0000 0.8887 0.0000
Li -2.4390 4.0334 3.5214
Cu -0.0698 1.0360 3.5129
Cu -2.5088 3.8861 7.0343
P 2.5338 1.5310 1.7560
P 0.0949 3.3911 5.2775
O -0.8692 1.1971 1.7555
O -3.3082 3.7250 5.2770
O 1.9066 0.9148 0.4794
O -0.5324 4.0073 4.0008
O -0.1235 1.8449 5.2669
O 2.3155 3.0772 1.7455
O 1.9219 0.9722 3.0650
O -0.5171 3.9499 6.5864
```

***

Top of the stability list: d, leading by 3.5 kJ/mol of atoms.